Compound: CeSe2
Source: the Materials Project database
Functional: GGA-PBE
Structure: relaxed

Output
Formation enthalpy at 0 K ... -1.749 eV/atom

Cell: 4.1904 4.1904 39.6297 Å, 90.00 90.00 120.00°
Last column: nearest neighbours and their distance in Å.
Space group R3m (No. 160, hexagonal axes)
Inequivalent atoms, fractional coordinates:
Ce  0.0000  0.0000  0.0000  6 Se 2.86
Ce  0.0000  0.0000  0.1667  6 Se 2.94
Se  0.0000  0.0000  0.2950  3 Ce 2.86
Se  0.0000  0.0000  0.4579  3 Ce 2.94
Se  0.0000  0.0000  0.5420  3 Ce 2.94
Se  0.0000  0.0000  0.7049  3 Ce 2.86



Compound: Al2Te2Cl7
Source: the Materials Project database
Functional: GGA-PBE
Structure: relaxed

Output
Excess energy over the best structure of this formula in the dataset ... 198 meV/atom
Formation enthalpy at 0 K ... -1.383 eV/atom

Cell: 8.6991 11.3073 12.4755 Å, 93.14 93.65 99.21°
Last column: nearest neighbours and their distance in Å.
Space group P-1 (No. 2)
Inequivalent atoms, fractional coordinates:
Al  0.1149  0.3350  0.2005  4 Cl 2.12-2.26
Al  0.3059  0.9119  0.3454  3 Cl 2.07-2.09
Te  0.3609  0.9534  0.9699  1 Te 2.53
Te  0.4304  0.3969  0.4601  1 Te 2.57
Cl  0.0283  0.5395  0.8477  1 Al 2.12
Cl  0.0287  0.1546  0.1351  1 Al 2.15
Cl  0.1080  0.3277  0.3809  1 Al 2.26
Cl  0.2603  0.7740  0.2254  1 Al 2.07
Cl  0.2936  0.8714  0.5062  1 Al 2.09
Cl  0.3579  0.3822  0.1716  1 Al 2.15
Cl  0.3631  0.0879  0.3041  1 Al 2.07



Compound: Th6FeBr15
Source: the Materials Project database
Functional: GGA-PBE
Structure: relaxed

Output
Formation enthalpy at 0 K ... -1.934 eV/atom

Cell: 11.6290 11.6290 11.6290 Å, 90.00 90.00 90.00°
Last column: nearest neighbours and their distance in Å.
Space group Im-3m (No. 229)
Inequivalent atoms, fractional coordinates:
Th  0.0000  0.0000  0.2381  1 Fe 2.77, 5 Br 2.94-3.05
Fe  0.0000  0.0000  0.0000  6 Th 2.77
Br  0.0000  0.0000  0.5000  2 Th 3.05
Br  0.0000  0.2524  0.2524  2 Th 2.94



Compound: BaSb2
Source: the Materials Project database
Functional: GGA-PBE
Structure: relaxed

Output
Formation enthalpy at 0 K ... -0.849 eV/atom

Cell: 11.7588 4.4696 12.6620 Å, 90.00 100.06 90.00°
Last column: nearest neighbours and their distance in Å.
Space group P2_1/m (No. 11)
Inequivalent atoms, fractional coordinates:
Ba  0.0589  0.2500  0.2669  9 Sb 3.58-4.00
Ba  0.2852  0.7500  0.0604  10 Sb 3.58-3.98
Ba  0.3796  0.2500  0.5885  9 Sb 3.53-3.81
Sb  0.0547  0.2500  0.9500  2 Sb 2.97
Sb  0.0703  0.2500  0.5509  2 Sb 2.94
Sb  0.2546  0.7500  0.7741  2 Sb 2.94
Sb  0.2918  0.7500  0.3669  2 Sb 2.97
Sb  0.3993  0.2500  0.8697  2 Sb 2.94
Sb  0.4066  0.2500  0.2719  2 Sb 2.97



Compound: CsHoCdTe3
Source: the Materials Project database
Functional: GGA-PBE
Structure: relaxed

Output
Formation enthalpy at 0 K ... -1.288 eV/atom

Cell: 4.5364 17.3787 11.8658 Å, 90.00 90.00 90.00°
Last column: nearest neighbours and their distance in Å.
Space group Cmcm (No. 63)
Inequivalent atoms, fractional coordinates:
Cs  0.0000  0.2489  0.2500  8 Te 3.95-4.19, 2 Cd 4.32
Ho  0.0000  0.0000  0.0000  6 Te 3.12-3.17
Cd  0.0000  0.4627  0.7500  4 Te 2.82-2.88
Te  0.0000  0.0650  0.7500  2 Cd 2.88, 2 Ho 3.17
Te  0.0000  0.3805  0.5456  1 Cd 2.82, 2 Ho 3.12



Compound: PrAl2Ag
Source: the Materials Project database
Functional: GGA-PBE
Structure: relaxed

Output
Formation enthalpy at 0 K ... -0.420 eV/atom

Cell: 5.6998 5.6998 26.8900 Å, 90.00 90.00 120.00°
Last column: nearest neighbours and their distance in Å.
Space group R-3m (No. 166, hexagonal axes)
Inequivalent atoms, fractional coordinates:
Pr  0.0000  0.0000  0.0000  6 Ag 3.29, 12 Al 3.61
Pr  0.0000  0.0000  0.1409  9 Al 3.25-3.37, 3 Ag 3.36, 3 Pr 3.57
Al  0.0052  0.5026  0.9173  3 Ag 2.75-2.81, 4 Al 2.81-2.89
Ag  0.0000  0.0000  0.3350  6 Al 2.75-2.79
Ag  0.0000  0.0000  0.5000  6 Al 2.81



Compound: NaHN
Source: the Materials Project database
Functional: GGA-PBE
Structure: relaxed

Output
Formation enthalpy at 0 K ... 0.303 eV/atom

Cell: 11.1103 11.2278 12.7284 Å, 90.00 90.00 90.00°
Last column: nearest neighbours and their distance in Å.
Space group Fddd (No. 70, origin choice 2)
Inequivalent atoms, fractional coordinates:
Na  0.0362  0.0303  0.3845  3 N 2.35-2.41
H  0.0411  0.0327  0.1740  1 N 1.04
N  0.0158  0.0269  0.7876  1 H 1.04



Compound: Rb2CrCl4
Source: the Materials Project database
Functional: GGA-PBE
Structure: relaxed

Output
Excess energy over the best structure of this formula in the dataset ... 4 meV/atom
Formation enthalpy at 0 K ... -1.903 eV/atom

Cell: 7.1984 7.1590 8.7932 Å, 90.00 112.71 90.00°
Last column: nearest neighbours and their distance in Å.
Space group C2/m (No. 12)
Inequivalent atoms, fractional coordinates:
Rb  0.1339  0.0000  0.2789  9 Cl 3.37-3.63
Cr  0.0000  0.5000  0.0000  6 Cl 2.48-2.54
Cl  0.1438  0.5000  0.3060  1 Cr 2.48
Cl  0.2500  0.2500  0.0000  2 Cr 2.54



no.,total energy (eV per atom)
1,-5.7430
2,-3.4210
3,-5.0928
4,-4.1136
5,-3.7150
6,-4.1960
7,-3.9270
8,-4.2671